[1]
VASP calculation (PBE) on CuF2 after structural relaxation.

energy relative to the elements: -5.43 eV/f.u.
total DFT energy (no corrections): -0.3047 Ry/atom
E (MP2020): -26.7 eV per cell

a b c (Å): 3.300 4.613 5.423
angles (deg): 90.00 120.77 90.00
Element x y z (fractional)
Cu  0.000  0.000  0.000
Cu  0.000  0.500  0.500
F  0.269  0.200  0.796
F  0.269  0.300  0.296
F  0.731  0.700  0.704
F  0.731  0.800  0.204


[2]
VASP calculation (PBE) on CuH12N2Cl4O2 after structural relaxation.

energy relative to the elements: -16.13 eV/f.u.
total DFT energy (no corrections): -0.3274 Ry/atom
energy above the most stable polymorph in this dataset: 0.0000 eV per atom
E (MP2020): -189.8 eV per cell
total moment: 2.00 μB per cell

a b c (Å): 7.668 7.668 8.113
angles (deg): 90.00 90.00 90.00
Element x y z (fractional)
Cu  0.000  0.000  0.000
Cu  0.500  0.500  0.500
H  0.068  0.413  0.324
H  0.068  0.413  0.676
H  0.074  0.074  0.313
H  0.074  0.074  0.687
H  0.087  0.568  0.176
H  0.087  0.568  0.824
H  0.413  0.068  0.324
H  0.413  0.068  0.676
H  0.426  0.574  0.187
H  0.426  0.574  0.813
H  0.432  0.913  0.176
H  0.432  0.913  0.824
H  0.568  0.087  0.176
H  0.568  0.087  0.824
H  0.574  0.426  0.187
H  0.574  0.426  0.813
H  0.587  0.932  0.324
H  0.587  0.932  0.676
H  0.913  0.432  0.176
H  0.913  0.432  0.824
H  0.926  0.926  0.313
H  0.926  0.926  0.687
H  0.932  0.587  0.324
H  0.932  0.587  0.676
N  0.000  0.500  0.250
N  0.000  0.500  0.750
N  0.500  0.000  0.250
N  0.500  0.000  0.750
Cl  0.209  0.209  0.000
Cl  0.216  0.216  0.500
Cl  0.284  0.716  0.000
Cl  0.291  0.709  0.500
Cl  0.709  0.291  0.500
Cl  0.716  0.284  0.000
Cl  0.784  0.784  0.500
Cl  0.791  0.791  0.000
O  0.000  0.000  0.241
O  0.000  0.000  0.759
O  0.500  0.500  0.259
O  0.500  0.500  0.741


[3]
VASP calculation (PBE) on Rb2CuP4H8O16 after structural relaxation.

energy relative to the elements: -63.18 eV/f.u.
total DFT energy (no corrections): -0.4415 Ry/atom
E (MP2020): -197.2 eV per cell
total moment: 1.00 μB per cell

a b c (Å): 7.027 7.609 7.921
angles (deg): 84.99 72.95 85.31
Element x y z (fractional)
Rb  0.110  0.222  0.278
Rb  0.890  0.778  0.722
Cu  0.500  0.000  0.500
P  0.253  0.307  0.739
P  0.333  0.764  0.264
P  0.667  0.236  0.736
P  0.747  0.693  0.261
H  0.054  0.764  0.110
H  0.261  0.541  0.468
H  0.374  0.806  0.878
H  0.389  0.682  0.725
H  0.611  0.318  0.275
H  0.626  0.194  0.122
H  0.739  0.459  0.532
H  0.946  0.236  0.890
O  0.072  0.283  0.910
O  0.243  0.834  0.117
O  0.246  0.580  0.343
O  0.258  0.495  0.657
O  0.268  0.163  0.613
O  0.307  0.886  0.412
O  0.432  0.275  0.832
O  0.448  0.784  0.755
O  0.552  0.216  0.245
O  0.568  0.725  0.168
O  0.693  0.114  0.588
O  0.732  0.837  0.387
O  0.742  0.505  0.343
O  0.754  0.420  0.657
O  0.757  0.166  0.883
O  0.928  0.717  0.090


Which of these has the lowest total DFT energy (no corrections)? Rb2CuP4H8O16


Among the records above, which one has the highest total DFT energy (no corrections)? CuF2


total DFT energy (no corrections) of number 1 (CuF2)? -0.3047 Ry/atom